H30Ru2PtN10Cl10: optimized geometry, PBE-GGA.

POSCAR file:
```
H30Ru2PtN10Cl10
1.0
5.998 -4.209 0.000
5.998 4.209 0.000
-2.103 0.000 13.240
H Ru Pt N Cl
30 2 1 10 10
Direct
0.017 0.727 0.033 H
0.022 0.618 0.360 H
0.047 0.470 0.256 H
0.050 0.050 0.243 H
0.095 0.901 0.664 H
0.099 0.905 0.336 H
0.115 0.549 0.107 H
0.157 0.459 0.690 H
0.178 0.747 0.128 H
0.253 0.822 0.872 H
0.273 0.983 0.967 H
0.382 0.978 0.640 H
0.451 0.885 0.893 H
0.459 0.157 0.690 H
0.470 0.047 0.256 H
0.530 0.953 0.744 H
0.541 0.843 0.310 H
0.549 0.115 0.107 H
0.618 0.022 0.360 H
0.727 0.017 0.033 H
0.747 0.178 0.128 H
0.822 0.253 0.872 H
0.843 0.541 0.310 H
0.885 0.451 0.893 H
0.901 0.095 0.664 H
0.905 0.099 0.336 H
0.950 0.950 0.757 H
0.953 0.530 0.744 H
0.978 0.382 0.640 H
0.983 0.273 0.967 H
0.175 0.175 0.800 Ru
0.825 0.825 0.200 Ru
0.500 0.500 0.500 Pt
0.012 0.012 0.711 N
0.050 0.412 0.708 N
0.062 0.698 0.107 N
0.302 0.938 0.893 N
0.412 0.050 0.708 N
0.588 0.950 0.292 N
0.698 0.062 0.107 N
0.938 0.302 0.893 N
0.950 0.588 0.292 N
0.988 0.988 0.289 N
0.169 0.169 0.129 Cl
0.223 0.777 0.500 Cl
0.302 0.302 0.475 Cl
0.352 0.352 0.900 Cl
0.499 0.499 0.676 Cl
0.501 0.501 0.324 Cl
0.648 0.648 0.100 Cl
0.698 0.698 0.525 Cl
0.777 0.223 0.500 Cl
0.831 0.831 0.871 Cl
```

Calculated values
DFT formation energy   -32.28 eV per formula unit
Mass density   2.29 g/cm³
Calculated total energy   -254.40 eV per cell